Record 1
# La2MgNi2O6, optimized geometry, DFT PBE+U
data_La2MgNi2O6
_cell_length_a 6.257
_cell_length_b 6.255
_cell_length_c 6.258
_cell_angle_alpha 55.30
_cell_angle_beta 55.31
_cell_angle_gamma 55.32
_symmetry_space_group_name_H-M 'P 1'
_symmetry_Int_Tables_number 1
loop_
_symmetry_equiv_pos_as_xyz
'x,y,z'
loop_
_atom_site_label
_atom_site_type_symbol
_atom_site_fract_x
_atom_site_fract_y
_atom_site_fract_z
Ni1 Ni 0.588 0.587 0.586
Ni2 Ni 0.989 0.988 0.989
O1 O 0.218 0.843 0.637
O2 O 0.844 0.637 0.217
O3 O 0.338 0.766 0.113
O4 O 0.114 0.337 0.766
O5 O 0.767 0.113 0.337
O6 O 0.638 0.217 0.842
La1 La 0.782 0.781 0.781
La2 La 0.191 0.190 0.190
Mg1 Mg 0.418 0.417 0.417
# space-group type = No. 146
# total energy = -70.33 eV/cell
# energy relative to the lowest polymorph listed for this composition = 56 meV/atom
# energy of formation from the pure elements = -235 kJ per mole of atoms
# mass density = 5.547 g/cm³



Record 2
# La2MgNi2O6, optimized geometry, DFT PBE+U
data_La2MgNi2O6
_cell_length_a 6.569
_cell_length_b 5.820
_cell_length_c 5.532
_cell_angle_alpha 68.87
_cell_angle_beta 65.37
_cell_angle_gamma 49.43
_symmetry_space_group_name_H-M 'P 1'
_symmetry_Int_Tables_number 1
loop_
_symmetry_equiv_pos_as_xyz
'x,y,z'
loop_
_atom_site_label
_atom_site_type_symbol
_atom_site_fract_x
_atom_site_fract_y
_atom_site_fract_z
O1 O 0.728 0.083 0.344
O2 O 0.151 0.525 0.621
O3 O 0.306 0.841 0.152
O4 O 0.704 0.167 0.843
O5 O 0.855 0.468 0.359
O6 O 0.278 0.905 0.653
La1 La 0.319 0.277 0.231
La2 La 0.700 0.682 0.759
Ni1 Ni 0.501 0.500 0.487
Ni2 Ni 0.007 0.994 0.000
Mg1 Mg 0.000 0.995 0.501
# space-group type = No. 1
# total energy = -70.94 eV/cell
# energy relative to the lowest polymorph listed for this composition = 0 meV/atom
# energy of formation from the pure elements = -241 kJ per mole of atoms
# mass density = 5.912 g/cm³



Record 3
# La4MgNi3WO12, optimized geometry, DFT PBE+U
data_La4MgNi3WO12
_cell_length_a 5.477
_cell_length_b 8.974
_cell_length_c 5.612
_cell_angle_alpha 90.00
_cell_angle_beta 90.62
_cell_angle_gamma 90.00
_symmetry_space_group_name_H-M 'P 1'
_symmetry_Int_Tables_number 1
loop_
_symmetry_equiv_pos_as_xyz
'x,y,z'
loop_
_atom_site_label
_atom_site_type_symbol
_atom_site_fract_x
_atom_site_fract_y
_atom_site_fract_z
Ni1 Ni 0.000 0.500 0.000
Ni2 Ni 0.000 0.000 0.000
Ni3 Ni 0.500 0.500 0.500
La1 La 0.500 0.193 0.000
La2 La 0.500 0.807 0.000
La3 La 0.000 0.294 0.500
La4 La 0.000 0.706 0.500
O1 O 0.249 0.500 0.254
O2 O 0.799 0.000 0.299
O3 O 0.201 0.000 0.701
O4 O 0.000 0.754 0.000
O5 O 0.685 0.000 0.824
O6 O 0.245 0.500 0.742
O7 O 0.500 0.235 0.500
O8 O 0.000 0.246 0.000
O9 O 0.315 0.000 0.176
O10 O 0.755 0.500 0.258
O11 O 0.500 0.765 0.500
O12 O 0.751 0.500 0.746
W1 W 0.500 0.000 0.500
Mg1 Mg 0.500 0.500 0.000
# space-group type = No. 10
# total energy = -141.52 eV/cell
# energy of formation from the pure elements = -233 kJ per mole of atoms
# mass density = 6.814 g/cm³



Record 4
# La2MgVO6, optimized geometry, DFT PBE+U
data_La2MgVO6
_cell_length_a 5.522
_cell_length_b 5.522
_cell_length_c 5.522
_cell_angle_alpha 61.22
_cell_angle_beta 61.22
_cell_angle_gamma 61.22
_symmetry_space_group_name_H-M 'P 1'
_symmetry_Int_Tables_number 1
loop_
_symmetry_equiv_pos_as_xyz
'x,y,z'
loop_
_atom_site_label
_atom_site_type_symbol
_atom_site_fract_x
_atom_site_fract_y
_atom_site_fract_z
O1 O 0.758 0.315 0.171
O2 O 0.685 0.829 0.242
O3 O 0.171 0.758 0.315
O4 O 0.315 0.171 0.758
O5 O 0.242 0.685 0.829
O6 O 0.829 0.242 0.685
La1 La 0.249 0.249 0.249
La2 La 0.751 0.751 0.751
Mg1 Mg 0.500 0.500 0.500
V1 V 0.000 0.000 0.000
# space-group type = No. 148
# total energy = -78.12 eV/cell
# energy of formation from the pure elements = -325 kJ per mole of atoms
# mass density = 6.097 g/cm³